Material: K2AlB5O14
Method: DFT, GGA-PBE
State: optimized geometry

Calculated values
Energy of formation from the pure elements = -1.87 eV/atom
Total magnetization = 2.01 μB/f.u.

Lattice parameters (Å, degrees): 9.6929 10.1395 12.9661 90.00 90.00 90.00
Space group C222_1 (No. 20)
Asymmetric unit:
K1 0.2187 0.1881 0.3997 [8 per cell]
Al1 0.0000 0.1095 0.7500 [4 per cell]
B1 0.0844 0.3192 0.6203 [8 per cell]
B2 0.1630 0.5000 0.5000 [4 per cell]
B3 0.2361 0.0293 0.1775 [8 per cell]
O1 0.0000 0.3113 0.2500 [4 per cell]
O2 0.0032 0.2130 0.6393 [8 per cell]
O3 0.0103 0.0000 0.5000 [4 per cell]
O4 0.0628 0.3765 0.1783 [8 per cell]
O5 0.0764 0.3851 0.5280 [8 per cell]
O6 0.1461 0.0058 0.7473 [8 per cell]
O7 0.1801 0.3602 0.6955 [8 per cell]
O8 0.2494 0.0411 0.9124 [8 per cell]


Material: K2Al2B2O7
Method: DFT, GGA-PBE
State: optimized geometry

Calculated values
Energy of formation from the pure elements = -2.99 eV/atom

Lattice parameters (Å, degrees): 8.6610 8.6610 8.5995 90.00 90.00 120.00
Space group P321 (No. 150)
Asymmetric unit:
K1 0.0000 0.3099 0.0000 [3 per cell]
K2 0.0000 0.3583 0.5000 [3 per cell]
Al1 0.0000 0.0000 0.2993 [2 per cell]
Al2 0.3333 0.6667 0.1826 [2 per cell]
Al3 0.3333 0.6667 0.7788 [2 per cell]
B1 0.0011 0.6660 0.7434 [6 per cell]
O1 0.0000 0.0000 0.5000 [1 per cell]
O2 0.0563 0.8425 0.2263 [6 per cell]
O3 0.1171 0.6018 0.2523 [6 per cell]
O4 0.1783 0.7266 0.7075 [6 per cell]
O5 0.3333 0.6667 0.9808 [2 per cell]


Material: K2AlB5O14
Method: DFT, GGA-PBE
State: optimized geometry

Calculated values
Energy of formation from the pure elements = -1.91 eV/atom
Total magnetization = 6.00 μB/f.u.

Lattice parameters (Å, degrees): 7.0102 13.4217 7.0348 90.00 90.35 90.00
Space group P2_1 (No. 4)
Asymmetric unit:
K1 0.0226 0.0000 0.4037 [2 per cell]
K2 0.4147 0.2133 0.0531 [2 per cell]
Al1 0.1214 0.8610 0.8817 [2 per cell]
B1 0.2067 0.7855 0.2525 [2 per cell]
B2 0.2310 0.7327 0.5845 [2 per cell]
B3 0.2500 0.4373 0.2041 [2 per cell]
B4 0.3234 0.6105 0.3180 [2 per cell]
B5 0.4174 0.9904 0.7689 [2 per cell]
O1 0.0195 0.1099 0.0185 [2 per cell]
O2 0.1265 0.3630 0.1603 [2 per cell]
O3 0.1584 0.8591 0.1299 [2 per cell]
O4 0.1819 0.8046 0.4478 [2 per cell]
O5 0.1919 0.5281 0.2737 [2 per cell]
O6 0.2181 0.7528 0.7720 [2 per cell]
O7 0.2293 0.9690 0.7863 [2 per cell]
O8 0.2548 0.2438 0.5662 [2 per cell]
O9 0.2814 0.6963 0.1945 [2 per cell]
O10 0.2864 0.3191 0.6628 [2 per cell]
O11 0.2883 0.6399 0.5211 [2 per cell]
O12 0.4454 0.4175 0.1841 [2 per cell]
O13 0.4520 0.5413 0.7219 [2 per cell]
O14 0.4762 0.0825 0.7075 [2 per cell]